# 1
Computed, not measured: an optimized crystal structure of MgV2MoO8 at the PBE+U level of DFT.

```
data_MgV2MoO8
_chemical_formula_sum 'Mg1 V2 Mo1 O8'
_cell_length_a 3.721
_cell_length_b 5.263
_cell_length_c 9.773
_cell_angle_alpha 90.00
_cell_angle_beta 101.03
_cell_angle_gamma 90.00
_symmetry_space_group_name_H-M 'P 1'
_symmetry_Int_Tables_number 1
_symmetry_space_group_name_Hall 'P 1'
loop_
_atom_site_label
_atom_site_type_symbol
_atom_site_fract_x
_atom_site_fract_y
_atom_site_fract_z
Mg1 Mg 0.000 0.623 0.500
V1 V 0.202 0.084 0.374
V2 V 0.798 0.084 0.626
Mo1 Mo 0.000 0.030 0.000
O1 O 0.000 0.355 0.000
O2 O 0.281 0.958 0.580
O3 O 0.099 0.957 0.197
O4 O 0.787 0.407 0.624
O5 O 0.719 0.958 0.420
O6 O 0.213 0.407 0.376
O7 O 0.901 0.957 0.803
O8 O 0.500 0.937 0.000
```


# 2
Computed, not measured: an optimized crystal structure of MgZn2MoWO6 at the PBE+U level of DFT.

```
data_MgZn2MoWO6
_chemical_formula_sum 'Mg1 Zn2 Mo1 W1 O6'
_cell_length_a 6.064
_cell_length_b 6.061
_cell_length_c 8.091
_cell_angle_alpha 80.45
_cell_angle_beta 138.61
_cell_angle_gamma 127.60
_symmetry_space_group_name_H-M 'P 1'
_symmetry_Int_Tables_number 1
_symmetry_space_group_name_Hall 'P 1'
loop_
_atom_site_label
_atom_site_type_symbol
_atom_site_fract_x
_atom_site_fract_y
_atom_site_fract_z
Mg1 Mg 0.004 0.307 0.162
Zn1 Zn 0.004 0.634 0.326
Zn2 Zn 0.005 0.478 0.748
Mo1 Mo 0.004 0.994 0.506
W1 W 0.004 0.944 0.980
O1 O 0.279 0.112 0.379
O2 O 0.634 0.779 0.557
O3 O 0.359 0.467 0.105
O4 O 0.375 0.837 0.750
O5 O 0.685 0.148 0.238
O6 O 0.690 0.467 0.927
```


# 3
Computed, not measured: an optimized crystal structure of MgZn2MoWO6 at the PBE+U level of DFT.

```
data_MgZn2MoWO6
_chemical_formula_sum 'Mg1 Zn2 Mo1 W1 O6'
_cell_length_a 6.068
_cell_length_b 6.069
_cell_length_c 8.096
_cell_angle_alpha 80.50
_cell_angle_beta 138.56
_cell_angle_gamma 127.60
_symmetry_space_group_name_H-M 'P 1'
_symmetry_Int_Tables_number 1
_symmetry_space_group_name_Hall 'P 1'
loop_
_atom_site_label
_atom_site_type_symbol
_atom_site_fract_x
_atom_site_fract_y
_atom_site_fract_z
Mg1 Mg 0.055 0.339 0.694
Zn1 Zn 0.055 0.507 0.278
Zn2 Zn 0.055 0.665 0.857
Mo1 Mo 0.055 0.975 0.512
W1 W 0.055 0.026 0.038
O1 O 0.424 0.181 0.461
O2 O 0.781 0.870 0.637
O3 O 0.379 0.504 0.092
O4 O 0.362 0.811 0.768
O5 O 0.700 0.145 0.282
O6 O 0.684 0.500 0.912
```


# 4
Computed, not measured: an optimized crystal structure of YMgMo3O8 at the PBE+U level of DFT.

```
data_YMgMo3O8
_chemical_formula_sum 'Y1 Mg1 Mo3 O8'
_cell_length_a 6.268
_cell_length_b 6.231
_cell_length_c 5.513
_cell_angle_alpha 90.54
_cell_angle_beta 89.92
_cell_angle_gamma 120.91
_symmetry_space_group_name_H-M 'P 1'
_symmetry_Int_Tables_number 1
_symmetry_space_group_name_Hall 'P 1'
loop_
_atom_site_label
_atom_site_type_symbol
_atom_site_fract_x
_atom_site_fract_y
_atom_site_fract_z
Y1 Y 0.334 0.667 0.753
Mg1 Mg 0.333 0.667 0.253
Mo1 Mo 0.834 0.667 0.253
Mo2 Mo 0.834 0.167 0.253
Mo3 Mo 0.333 0.167 0.253
O1 O 0.497 0.988 0.462
O2 O 0.660 0.316 0.068
O3 O 0.653 0.832 0.047
O4 O 0.184 0.835 0.049
O5 O 0.014 0.502 0.459
O6 O 0.007 0.017 0.439
O7 O 0.169 0.345 0.044
O8 O 0.483 0.499 0.457
```


# 5
Computed, not measured: an optimized crystal structure of YMgMo3O8 at the PBE+U level of DFT.

```
data_YMgMo3O8
_chemical_formula_sum 'Y1 Mg1 Mo3 O8'
_cell_length_a 6.646
_cell_length_b 6.551
_cell_length_c 5.466
_cell_angle_alpha 114.47
_cell_angle_beta 64.73
_cell_angle_gamma 122.77
_symmetry_space_group_name_H-M 'P 1'
_symmetry_Int_Tables_number 1
_symmetry_space_group_name_Hall 'P 1'
loop_
_atom_site_label
_atom_site_type_symbol
_atom_site_fract_x
_atom_site_fract_y
_atom_site_fract_z
Y1 Y 0.284 0.707 0.548
Mg1 Mg 0.552 0.448 0.803
Mo1 Mo 0.841 0.664 0.268
Mo2 Mo 0.847 0.154 0.246
Mo3 Mo 0.336 0.159 0.274
O1 O 0.483 0.091 0.507
O2 O 0.727 0.297 0.055
O3 O 0.698 0.777 0.088
O4 O 0.187 0.791 0.008
O5 O 0.905 0.519 0.505
O6 O 0.942 0.031 0.474
O7 O 0.223 0.312 0.099
O8 O 0.486 0.531 0.539
```


# 6
Computed, not measured: an optimized crystal structure of YMgMo3O8 at the PBE+U level of DFT.

```
data_YMgMo3O8
_chemical_formula_sum 'Y1 Mg1 Mo3 O8'
_cell_length_a 6.243
_cell_length_b 6.400
_cell_length_c 5.084
_cell_angle_alpha 89.72
_cell_angle_beta 89.42
_cell_angle_gamma 119.31
_symmetry_space_group_name_H-M 'P 1'
_symmetry_Int_Tables_number 1
_symmetry_space_group_name_Hall 'P 1'
loop_
_atom_site_label
_atom_site_type_symbol
_atom_site_fract_x
_atom_site_fract_y
_atom_site_fract_z
Y1 Y 0.333 0.665 0.759
Mg1 Mg 0.002 0.002 0.823
Mo1 Mo 0.828 0.656 0.272
Mo2 Mo 0.820 0.168 0.264
Mo3 Mo 0.343 0.168 0.264
O1 O 0.514 0.001 0.491
O2 O 0.684 0.340 0.055
O3 O 0.690 0.840 0.023
O4 O 0.150 0.840 0.018
O5 O 0.991 0.502 0.471
O6 O 0.991 0.000 0.455
O7 O 0.146 0.305 0.018
O8 O 0.511 0.504 0.473
```


# 7
Computed, not measured: an optimized crystal structure of Y5MgMo2O12 at the PBE+U level of DFT.

```
data_Y5MgMo2O12
_chemical_formula_sum 'Y5 Mg1 Mo2 O12'
_cell_length_a 5.955
_cell_length_b 6.879
_cell_length_c 7.476
_cell_angle_alpha 105.49
_cell_angle_beta 90.00
_cell_angle_gamma 115.65
_symmetry_space_group_name_H-M 'P 1'
_symmetry_Int_Tables_number 1
_symmetry_space_group_name_Hall 'P 1'
loop_
_atom_site_label
_atom_site_type_symbol
_atom_site_fract_x
_atom_site_fract_y
_atom_site_fract_z
Y1 Y 0.500 0.000 0.500
Y2 Y 0.197 0.393 0.856
Y3 Y 0.803 0.607 0.144
Y4 Y 0.794 0.587 0.647
Y5 Y 0.206 0.413 0.353
Mg1 Mg 0.000 0.000 0.500
Mo1 Mo 0.714 0.000 0.000
Mo2 Mo 0.286 0.000 0.000
O1 O 0.002 0.004 0.799
O2 O 0.998 0.996 0.201
O3 O 0.482 0.963 0.201
O4 O 0.518 0.037 0.799
O5 O 0.629 0.720 0.440
O6 O 0.909 0.280 0.560
O7 O 0.371 0.280 0.560
O8 O 0.405 0.345 0.100
O9 O 0.059 0.655 0.900
O10 O 0.595 0.655 0.900
O11 O 0.941 0.345 0.100
O12 O 0.091 0.720 0.440
```


# 8
Computed, not measured: an optimized crystal structure of Y5MgMo2O12 at the PBE+U level of DFT.

```
data_Y5MgMo2O12
_chemical_formula_sum 'Y5 Mg1 Mo2 O12'
_cell_length_a 5.932
_cell_length_b 7.136
_cell_length_c 7.517
_cell_angle_alpha 105.51
_cell_angle_beta 89.94
_cell_angle_gamma 114.81
_symmetry_space_group_name_H-M 'P 1'
_symmetry_Int_Tables_number 1
_symmetry_space_group_name_Hall 'P 1'
loop_
_atom_site_label
_atom_site_type_symbol
_atom_site_fract_x
_atom_site_fract_y
_atom_site_fract_z
Y1 Y 0.477 0.960 0.508
Y2 Y 0.190 0.384 0.802
Y3 Y 0.819 0.636 0.152
Y4 Y 0.816 0.635 0.660
Y5 Y 0.207 0.411 0.351
Mg1 Mg 0.650 0.292 0.324
Mo1 Mo 0.736 0.998 0.001
Mo2 Mo 0.264 0.000 0.001
O1 O 0.016 0.026 0.818
O2 O 0.002 0.001 0.186
O3 O 0.488 0.980 0.205
O4 O 0.504 0.012 0.804
O5 O 0.604 0.703 0.434
O6 O 0.894 0.316 0.545
O7 O 0.424 0.317 0.545
O8 O 0.441 0.340 0.128
O9 O 0.066 0.652 0.904
O10 O 0.583 0.650 0.904
O11 O 0.905 0.340 0.125
O12 O 0.092 0.699 0.432
```


# 9
Computed, not measured: an optimized crystal structure of Y5MgMo2O12 at the PBE+U level of DFT.

```
data_Y5MgMo2O12
_chemical_formula_sum 'Y5 Mg1 Mo2 O12'
_cell_length_a 6.090
_cell_length_b 7.175
_cell_length_c 7.592
_cell_angle_alpha 106.41
_cell_angle_beta 87.09
_cell_angle_gamma 119.03
_symmetry_space_group_name_H-M 'P 1'
_symmetry_Int_Tables_number 1
_symmetry_space_group_name_Hall 'P 1'
loop_
_atom_site_label
_atom_site_type_symbol
_atom_site_fract_x
_atom_site_fract_y
_atom_site_fract_z
Y1 Y 0.525 0.995 0.487
Y2 Y 0.184 0.383 0.819
Y3 Y 0.840 0.655 0.206
Y4 Y 0.817 0.635 0.641
Y5 Y 0.184 0.399 0.333
Mg1 Mg 0.649 0.332 0.862
Mo1 Mo 0.729 0.993 0.002
Mo2 Mo 0.237 0.992 0.998
O1 O 0.997 0.010 0.813
O2 O 0.980 0.006 0.201
O3 O 0.482 0.986 0.190
O4 O 0.510 0.006 0.801
O5 O 0.592 0.684 0.434
O6 O 0.938 0.305 0.564
O7 O 0.468 0.298 0.625
O8 O 0.441 0.353 0.075
O9 O 0.996 0.625 0.903
O10 O 0.572 0.668 0.891
O11 O 0.934 0.341 0.080
O12 O 0.103 0.697 0.424
```


| no. | calculated density (g cm⁻³) | MP2020-corrected energy (Ry per atom) | energy relative to the elements (eV/atom) |
| --- | --- | --- | --- |
| 1 | 3.10 | -0.59293 | -2.217 |
| 2 | 6.81 | -0.52163 | -1.860 |
| 3 | 6.79 | -0.52159 | -1.859 |
| 4 | 4.76 | -0.62558 | -2.343 |
| 5 | 5.00 | -0.63102 | -2.417 |
| 6 | 4.96 | -0.63067 | -2.412 |
| 7 | 5.37 | -0.66011 | -3.231 |
| 8 | 5.13 | -0.65621 | -3.178 |
| 9 | 5.12 | -0.65805 | -3.203 |